# Rb2LiNb2Te2O12 (PBE, optimized geometry)
# - ΔE to the lowest computed polymorph: 0.01 eV/f.u.
# - ΔE_f: -2.229 eV per atom
# - Theoretical density: 4.5 Mg/m³
data_Rb2LiNb2Te2O12
_cell_length_a 7.468
_cell_length_b 7.474
_cell_length_c 7.499
_cell_angle_alpha 90.89
_cell_angle_beta 119.73
_cell_angle_gamma 118.87
_space_group_name_H-M_alt 'P 1'
_space_group_IT_number 1
loop_
_space_group_symop_operation_xyz
'x,y,z'
loop_
_atom_site_label
_atom_site_type_symbol
_atom_site_fract_x
_atom_site_fract_y
_atom_site_fract_z
Rb1 Rb 0.000 0.000 0.000
Rb2 Rb 0.362 0.197 0.639
Li1 Li 0.571 0.805 0.504
Nb1 Nb 0.089 0.548 0.181
Nb2 Nb 0.619 0.077 0.220
Te1 Te 0.143 0.592 0.707
Te2 Te 0.633 0.586 0.216
O1 O 0.278 0.650 0.523
O2 O 0.377 0.904 0.900
O3 O 0.383 0.897 0.281
O4 O 0.394 0.527 0.286
O5 O 0.398 0.522 0.903
O6 O 0.507 0.279 0.149
O7 O 0.764 0.894 0.292
O8 O 0.874 0.644 0.150
O9 O 0.876 0.257 0.137
O10 O 0.881 0.660 0.529
O11 O 0.897 0.272 0.526
O12 O 0.999 0.521 0.889

***

# MnFe2N2 (PBE, optimized geometry)
# - ΔE_f: -0.123 eV per atom
# - Theoretical density: 7.1 Mg/m³
data_MnFe2N2
_cell_length_a 2.8941
_cell_length_b 2.8941
_cell_length_c 6.2944
_cell_angle_alpha 90.00
_cell_angle_beta 90.00
_cell_angle_gamma 120.00
_space_group_name_H-M_alt 'P -3 m 1'
_space_group_IT_number 164
_space_group_name_Hall '-P 3 2"'
loop_
_atom_site_label
_atom_site_type_symbol
_atom_site_fract_x
_atom_site_fract_y
_atom_site_fract_z
Mn1 Mn 0.0000 0.0000 0.0000
Fe1 Fe 0.3333 0.6667 0.3328
N1 N 0.3333 0.6667 0.7932

***

# Sr3LaCu2Bi4O12 (PBE, optimized geometry)
# - ΔE_f: -1.872 eV per atom
# - Theoretical density: 7.2 Mg/m³
data_Sr3LaCu2Bi4O12
_cell_length_a 4.564
_cell_length_b 4.881
_cell_length_c 16.209
_cell_angle_alpha 97.10
_cell_angle_beta 90.52
_cell_angle_gamma 90.30
_space_group_name_H-M_alt 'P 1'
_space_group_IT_number 1
loop_
_space_group_symop_operation_xyz
'x,y,z'
loop_
_atom_site_label
_atom_site_type_symbol
_atom_site_fract_x
_atom_site_fract_y
_atom_site_fract_z
Sr1 Sr 0.000 0.000 0.000
Sr2 Sr 0.007 0.309 0.306
Sr3 Sr 0.500 0.509 0.003
La1 La 0.521 0.804 0.294
Cu1 Cu 0.003 0.653 0.154
Cu2 Cu 0.517 0.161 0.156
Bi1 Bi 0.039 0.853 0.510
Bi2 Bi 0.490 0.948 0.798
Bi3 Bi 0.534 0.352 0.510
Bi4 Bi 0.989 0.447 0.797
O1 O 0.035 0.354 0.512
O2 O 0.056 0.784 0.375
O3 O 0.181 0.971 0.207
O4 O 0.339 0.479 0.201
O5 O 0.489 0.446 0.794
O6 O 0.500 0.021 0.930
O7 O 0.516 0.261 0.374
O8 O 0.538 0.854 0.512
O9 O 0.678 0.836 0.116
O10 O 0.835 0.336 0.103
O11 O 0.988 0.514 0.929
O12 O 0.989 0.945 0.794

***

# GdS2 (PBE, optimized geometry)
# - ΔE_f: -2.072 eV per atom
# - Theoretical density: 5.9 Mg/m³
data_GdS2
_cell_length_a 7.994
_cell_length_b 3.945
_cell_length_c 7.886
_cell_angle_alpha 90.00
_cell_angle_beta 90.07
_cell_angle_gamma 90.00
_space_group_name_H-M_alt 'P 1 21/c 1'
_space_group_IT_number 14
loop_
_space_group_symop_operation_xyz
'x,y,z'
'-x,-y,-z'
'-x,y+1/2,-z+1/2'
'x,-y+1/2,z+1/2'
loop_
_atom_site_label
_atom_site_type_symbol
_atom_site_fract_x
_atom_site_fract_y
_atom_site_fract_z
Gd1 Gd 0.224 0.215 0.371
S1 S 0.133 0.739 0.125
S2 S 0.497 0.662 0.390

***

# PuU3W4C6 (PBE, optimized geometry)
# - ΔE_f: -0.021 eV per atom
# - Theoretical density: 14.9 Mg/m³
data_PuU3W4C6
_cell_length_a 5.573
_cell_length_b 3.166
_cell_length_c 11.424
_cell_angle_alpha 90.00
_cell_angle_beta 103.25
_cell_angle_gamma 90.00
_space_group_name_H-M_alt 'P 1 m 1'
_space_group_IT_number 6
loop_
_space_group_symop_operation_xyz
'x,y,z'
'x,-y,z'
loop_
_atom_site_label
_atom_site_type_symbol
_atom_site_fract_x
_atom_site_fract_y
_atom_site_fract_z
Pu1 Pu 0.000 0.000 0.000
U1 U 0.036 0.500 0.709
U2 U 0.496 0.500 0.500
U3 U 0.534 0.000 0.208
W1 W 0.048 0.500 0.259
W2 W 0.489 0.500 0.948
W3 W 0.552 0.000 0.754
W4 W 0.980 0.000 0.450
C1 C 0.264 0.000 0.603
C2 C 0.267 0.000 0.856
C3 C 0.271 0.000 0.351
C4 C 0.757 0.500 0.357
C5 C 0.759 0.500 0.106
C6 C 0.769 0.500 0.848

***

# PrHfO4 (PBE, optimized geometry)
# - ΔE_f: -3.489 eV per atom
# - Theoretical density: 7.6 Mg/m³
data_PrHfO4
_cell_length_a 5.498
_cell_length_b 5.498
_cell_length_c 11.131
_cell_angle_alpha 90.00
_cell_angle_beta 90.00
_cell_angle_gamma 90.00
_space_group_name_H-M_alt 'I 41/a'
_space_group_IT_number 88
loop_
_space_group_symop_operation_xyz
'x,y,z'
'-x,-y,-z'
'-y+3/4,x+1/4,z+1/4'
'y+3/4,-x+1/4,-z+1/4'
'-x+1/2,-y,z+1/2'
'x+1/2,y,-z+1/2'
'y+3/4,-x+3/4,z+3/4'
'-y+3/4,x+3/4,-z+3/4'
'x+1/2,y+1/2,z+1/2'
'-x+1/2,-y+1/2,-z+1/2'
'-y+1/4,x+3/4,z+3/4'
'y+1/4,-x+3/4,-z+3/4'
'-x,-y+1/2,z'
'x,y+1/2,-z'
'y+1/4,-x+1/4,z+1/4'
'-y+1/4,x+1/4,-z+1/4'
loop_
_atom_site_label
_atom_site_type_symbol
_atom_site_fract_x
_atom_site_fract_y
_atom_site_fract_z
Pr1 Pr 0.000 0.250 0.125
Hf1 Hf 0.000 0.250 0.625
O1 O 0.199 0.486 0.722

***

# CrN2 (PBE, optimized geometry)
# - ΔE_f: -0.303 eV per atom
# - Theoretical density: 5.1 Mg/m³
data_CrN2
_cell_length_a 3.902
_cell_length_b 4.810
_cell_length_c 2.784
_cell_angle_alpha 90.00
_cell_angle_beta 90.00
_cell_angle_gamma 90.00
_space_group_name_H-M_alt 'P n n m'
_space_group_IT_number 58
loop_
_space_group_symop_operation_xyz
'x,y,z'
'-x,-y,-z'
'-x,-y,z'
'x,y,-z'
'x+1/2,-y+1/2,-z+1/2'
'-x+1/2,y+1/2,z+1/2'
'-x+1/2,y+1/2,-z+1/2'
'x+1/2,-y+1/2,z+1/2'
loop_
_atom_site_label
_atom_site_type_symbol
_atom_site_fract_x
_atom_site_fract_y
_atom_site_fract_z
Cr1 Cr 0.000 0.000 0.000
N1 N 0.134 0.411 0.000

***

# GdErRu2 (PBE, optimized geometry)
# - ΔE_f: -0.320 eV per atom
# - Theoretical density: 11.1 Mg/m³
data_GdErRu2
_cell_length_a 6.811
_cell_length_b 6.811
_cell_length_c 6.811
_cell_angle_alpha 90.00
_cell_angle_beta 90.00
_cell_angle_gamma 90.00
_space_group_name_H-M_alt 'F m -3 m'
_space_group_IT_number 225
_space_group_name_Hall '-F 4 2 3'
loop_
_atom_site_label
_atom_site_type_symbol
_atom_site_fract_x
_atom_site_fract_y
_atom_site_fract_z
Gd1 Gd 0.000 0.000 0.000
Er1 Er 0.000 0.000 0.500
Ru1 Ru 0.250 0.250 0.250

***

# K6Ta3O8F13 (PBE, optimized geometry)
# - ΔE_f: -2.735 eV per atom
# - Theoretical density: 3.6 Mg/m³
data_K6Ta3O8F13
_cell_length_a 16.758
_cell_length_b 9.032
_cell_length_c 13.969
_cell_angle_alpha 90.00
_cell_angle_beta 90.00
_cell_angle_gamma 90.00
_space_group_name_H-M_alt 'P n m a'
_space_group_IT_number 62
loop_
_space_group_symop_operation_xyz
'x,y,z'
'-x,-y,-z'
'-x+1/2,-y,z+1/2'
'x+1/2,y,-z+1/2'
'x+1/2,-y+1/2,-z+1/2'
'-x+1/2,y+1/2,z+1/2'
'-x,y+1/2,-z'
'x,-y+1/2,z'
loop_
_atom_site_label
_atom_site_type_symbol
_atom_site_fract_x
_atom_site_fract_y
_atom_site_fract_z
K1 K 0.022 0.250 0.141
K2 K 0.058 0.003 0.636
K3 K 0.182 0.003 0.935
K4 K 0.232 0.750 0.205
Ta1 Ta 0.002 0.750 0.145
Ta2 Ta 0.119 0.250 0.431
Ta3 Ta 0.232 0.750 0.720
O1 O 0.086 0.667 0.060
O2 O 0.186 0.170 0.126
O3 O 0.197 0.168 0.528
O4 O 0.198 0.250 0.329
O5 O 0.216 0.750 0.402
F1 F 0.020 0.033 0.840
F2 F 0.031 0.250 0.331
F3 F 0.033 0.250 0.529
F4 F 0.069 0.750 0.257
F5 F 0.080 0.250 0.957
F6 F 0.092 0.250 0.763
F7 F 0.096 0.035 0.420
F8 F 0.140 0.750 0.814
F9 F 0.149 0.750 0.620
F10 F 0.212 0.531 0.735

***

# Li5Sn2 (PBE, optimized geometry)
# - ΔE_f: -0.400 eV per atom
# - Theoretical density: 3.6 Mg/m³
data_Li5Sn2
_cell_length_a 4.7157
_cell_length_b 4.7157
_cell_length_c 19.7957
_cell_angle_alpha 90.00
_cell_angle_beta 90.00
_cell_angle_gamma 120.00
_space_group_name_H-M_alt 'R -3 m'
_space_group_IT_number 166
_space_group_name_Hall '-R 3 2"'
loop_
_atom_site_label
_atom_site_type_symbol
_atom_site_fract_x
_atom_site_fract_y
_atom_site_fract_z
Li1 Li 0.0000 0.0000 0.0000
Li2 Li 0.0000 0.0000 0.1464
Li3 Li 0.0000 0.0000 0.2863
Sn1 Sn 0.0000 0.0000 0.4264

***

# Er3Al2Ni6 (PBE, optimized geometry)
# - ΔE_f: -0.590 eV per atom
# - Theoretical density: 8.7 Mg/m³
data_Er3Al2Ni6
_cell_length_a 8.857
_cell_length_b 8.857
_cell_length_c 8.857
_cell_angle_alpha 90.00
_cell_angle_beta 90.00
_cell_angle_gamma 90.00
_space_group_name_H-M_alt 'I m -3 m'
_space_group_IT_number 229
_space_group_name_Hall '-I 4 2 3'
loop_
_atom_site_label
_atom_site_type_symbol
_atom_site_fract_x
_atom_site_fract_y
_atom_site_fract_z
Er1 Er 0.000 0.000 0.293
Al1 Al 0.250 0.250 0.250
Ni1 Ni 0.000 0.335 0.335

***

# SrAl2Te4 (PBE, optimized geometry)
# - ΔE_f: -1.076 eV per atom
# - Theoretical density: 4.5 Mg/m³
# - Largest piezoelectric modulus: 0.1 C/m2
data_SrAl2Te4
_cell_length_a 8.434
_cell_length_b 8.434
_cell_length_c 6.733
_cell_angle_alpha 90.00
_cell_angle_beta 90.00
_cell_angle_gamma 90.00
_space_group_name_H-M_alt 'I 4 2 2'
_space_group_IT_number 97
_space_group_name_Hall 'I 4 2'
loop_
_atom_site_label
_atom_site_type_symbol
_atom_site_fract_x
_atom_site_fract_y
_atom_site_fract_z
Sr1 Sr 0.000 0.000 0.000
Al1 Al 0.000 0.500 0.000
Te1 Te 0.172 0.328 0.250

***

# Sr2GaSbO6 (PBE, optimized geometry)
# - ΔE to the lowest computed polymorph: 0.00 eV/f.u.
# - ΔE_f: -2.630 eV per atom
# - Theoretical density: 6.1 Mg/m³
data_Sr2GaSbO6
_cell_length_a 5.595
_cell_length_b 5.595
_cell_length_c 8.106
_cell_angle_alpha 90.00
_cell_angle_beta 90.00
_cell_angle_gamma 90.00
_space_group_name_H-M_alt 'I 4/m'
_space_group_IT_number 87
_space_group_name_Hall '-I 4'
loop_
_atom_site_label
_atom_site_type_symbol
_atom_site_fract_x
_atom_site_fract_y
_atom_site_fract_z
Sr1 Sr 0.000 0.500 0.250
Ga1 Ga 0.000 0.000 0.000
Sb1 Sb 0.000 0.000 0.500
O1 O 0.000 0.000 0.252
O2 O 0.208 0.709 0.000

***

# Al5Cu3O12 (PBE, optimized geometry)
# - ΔE to the lowest computed polymorph: 0.50 eV/f.u.
# - ΔE_f: -2.308 eV per atom
# - Theoretical density: 4.2 Mg/m³
data_Al5Cu3O12
_cell_length_a 10.053
_cell_length_b 5.766
_cell_length_c 14.165
_cell_angle_alpha 90.00
_cell_angle_beta 90.35
_cell_angle_gamma 90.00
_space_group_name_H-M_alt 'C 1 2/m 1'
_space_group_IT_number 12
loop_
_space_group_symop_operation_xyz
'x,y,z'
'-x,-y,-z'
'-x,y,-z'
'x,-y,z'
'x+1/2,y+1/2,z'
'-x+1/2,-y+1/2,-z'
'-x+1/2,y+1/2,-z'
'x+1/2,-y+1/2,z'
loop_
_atom_site_label
_atom_site_type_symbol
_atom_site_fract_x
_atom_site_fract_y
_atom_site_fract_z
Al1 Al 0.083 0.248 0.164
Al2 Al 0.164 0.500 0.334
Al3 Al 0.166 0.000 0.836
Al4 Al 0.250 0.250 0.500
Cu1 Cu 0.002 0.000 0.380
Cu2 Cu 0.165 0.500 0.706
Cu3 Cu 0.167 0.500 0.957
O1 O 0.000 0.000 0.237
O2 O 0.020 0.500 0.245
O3 O 0.080 0.239 0.902
O4 O 0.103 0.261 0.414
O5 O 0.159 0.000 0.098
O6 O 0.166 0.500 0.095
O7 O 0.182 0.500 0.573
O8 O 0.184 0.000 0.579
O9 O 0.241 0.280 0.245

***

# MoIr (PBE, optimized geometry)
# - ΔE_f: -0.206 eV per atom
# - Theoretical density: 15.9 Mg/m³
data_MoIr
_cell_length_a 2.7921
_cell_length_b 2.7921
_cell_length_c 4.4699
_cell_angle_alpha 90.00
_cell_angle_beta 90.00
_cell_angle_gamma 120.00
_space_group_name_H-M_alt 'P -6 m 2'
_space_group_IT_number 187
_space_group_name_Hall 'P -6 2'
loop_
_atom_site_label
_atom_site_type_symbol
_atom_site_fract_x
_atom_site_fract_y
_atom_site_fract_z
Mo1 Mo 0.0000 0.0000 0.0000
Ir1 Ir 0.3333 0.6667 0.5000